1.
# CsFeCuS2 PBE optimized geometry
data_CsFeCuS2
_chemical_formula_sum 'Cs1 Fe1 Cu1 S2'
_cell_length_a 7.672
_cell_length_b 7.672
_cell_length_c 7.672
_cell_angle_alpha 150.14
_cell_angle_beta 150.14
_cell_angle_gamma 42.73
_symmetry_space_group_name_H-M 'P 1'
_symmetry_Int_Tables_number 1
loop_
_symmetry_equiv_pos_as_xyz
'x,y,z'
loop_
_atom_site_label
_atom_site_type_symbol
_atom_site_fract_x
_atom_site_fract_y
_atom_site_fract_z
Cs1 Cs 0.000 0.000 0.000
Fe1 Fe 0.750 0.250 0.500
Cu1 Cu 0.250 0.750 0.500
S1 S 0.342 0.342 0.000
S2 S 0.658 0.658 0.000
# M_tot = 4.01 μB/cell
# Formation energy = -0.788 eV/atom
# Electronic total energy = -4.93 eV/atom
# SG = I-4m2, No. 119

---

2.
# CsGd2Cu3Se5 PBE optimized geometry
data_CsGd2Cu3Se5
_chemical_formula_sum 'Cs2 Gd4 Cu6 Se10'
_cell_length_a 7.662
_cell_length_b 7.662
_cell_length_c 17.569
_cell_angle_alpha 90.00
_cell_angle_beta 90.00
_cell_angle_gamma 148.45
_symmetry_space_group_name_H-M 'P 1'
_symmetry_Int_Tables_number 1
loop_
_symmetry_equiv_pos_as_xyz
'x,y,z'
loop_
_atom_site_label
_atom_site_type_symbol
_atom_site_fract_x
_atom_site_fract_y
_atom_site_fract_z
Cs1 Cs 0.061 0.939 0.750
Cs2 Cs 0.939 0.061 0.250
Gd1 Gd 0.192 0.808 0.091
Gd2 Gd 0.192 0.808 0.409
Gd3 Gd 0.808 0.192 0.591
Gd4 Gd 0.808 0.192 0.909
Cu1 Cu 0.342 0.658 0.750
Cu2 Cu 0.416 0.584 0.032
Cu3 Cu 0.416 0.584 0.468
Cu4 Cu 0.584 0.416 0.532
Cu5 Cu 0.584 0.416 0.968
Cu6 Cu 0.658 0.342 0.250
Se1 Se 0.167 0.833 0.570
Se2 Se 0.167 0.833 0.930
Se3 Se 0.236 0.764 0.250
Se4 Se 0.440 0.560 0.611
Se5 Se 0.440 0.560 0.889
Se6 Se 0.560 0.440 0.111
Se7 Se 0.560 0.440 0.389
Se8 Se 0.764 0.236 0.750
Se9 Se 0.833 0.167 0.070
Se10 Se 0.833 0.167 0.430
# M_tot = 28.00 μB/cell
# Formation energy = -1.337 eV/atom
# Electronic total energy = -6.47 eV/atom
# SG = Cmcm, No. 63

---

3.
# CsCu3GeSe4 PBE optimized geometry
data_CsCu3GeSe4
_chemical_formula_sum 'Cs1 Cu3 Ge1 Se4'
_cell_length_a 6.379
_cell_length_b 6.379
_cell_length_c 6.379
_cell_angle_alpha 90.00
_cell_angle_beta 90.00
_cell_angle_gamma 90.00
_symmetry_space_group_name_H-M 'P 1'
_symmetry_Int_Tables_number 1
loop_
_symmetry_equiv_pos_as_xyz
'x,y,z'
loop_
_atom_site_label
_atom_site_type_symbol
_atom_site_fract_x
_atom_site_fract_y
_atom_site_fract_z
Cs1 Cs 0.000 0.000 0.000
Cu1 Cu 0.000 0.500 0.500
Cu2 Cu 0.500 0.000 0.500
Cu3 Cu 0.500 0.500 0.000
Ge1 Ge 0.500 0.500 0.500
Se1 Se 0.289 0.289 0.711
Se2 Se 0.289 0.711 0.289
Se3 Se 0.711 0.289 0.289
Se4 Se 0.711 0.711 0.711
# Formation energy = -0.416 eV/atom
# Electronic total energy = -3.74 eV/atom
# SG = P-43m, No. 215

---

4.
# CsCuP3H8O13 PBE optimized geometry
data_CsCuP3H8O13
_chemical_formula_sum 'Cs2 Cu2 P6 H16 O26'
_cell_length_a 7.619
_cell_length_b 8.687
_cell_length_c 9.891
_cell_angle_alpha 102.42
_cell_angle_beta 90.87
_cell_angle_gamma 105.99
_symmetry_space_group_name_H-M 'P 1'
_symmetry_Int_Tables_number 1
loop_
_symmetry_equiv_pos_as_xyz
'x,y,z'
loop_
_atom_site_label
_atom_site_type_symbol
_atom_site_fract_x
_atom_site_fract_y
_atom_site_fract_z
Cs1 Cs 0.220 0.414 0.322
Cs2 Cs 0.780 0.586 0.678
Cu1 Cu 0.000 0.000 0.500
Cu2 Cu 0.500 0.500 0.000
P1 P 0.222 0.728 0.052
P2 P 0.304 0.651 0.756
P3 P 0.492 0.001 0.781
P4 P 0.508 0.999 0.219
P5 P 0.696 0.349 0.244
P6 P 0.778 0.272 0.948
H1 H 0.029 0.899 0.245
H2 H 0.113 0.997 0.742
H3 H 0.153 0.767 0.528
H4 H 0.175 0.307 0.960
H5 H 0.254 0.878 0.423
H6 H 0.308 0.196 0.939
H7 H 0.315 0.310 0.638
H8 H 0.398 0.177 0.550
H9 H 0.602 0.823 0.450
H10 H 0.685 0.690 0.362
H11 H 0.692 0.804 0.061
H12 H 0.746 0.122 0.577
H13 H 0.825 0.693 0.040
H14 H 0.847 0.233 0.472
H15 H 0.887 0.003 0.258
H16 H 0.971 0.101 0.755
O1 O 0.010 0.004 0.299
O2 O 0.043 0.723 0.115
O3 O 0.132 0.829 0.458
O4 O 0.182 0.694 0.886
O5 O 0.189 0.638 0.627
O6 O 0.293 0.300 0.999
O7 O 0.301 0.232 0.547
O8 O 0.313 0.032 0.822
O9 O 0.330 0.619 0.091
O10 O 0.355 0.914 0.088
O11 O 0.377 0.511 0.770
O12 O 0.435 0.958 0.350
O13 O 0.482 0.812 0.781
O14 O 0.518 0.188 0.219
O15 O 0.565 0.042 0.650
O16 O 0.623 0.489 0.230
O17 O 0.645 0.086 0.912
O18 O 0.670 0.381 0.909
O19 O 0.687 0.968 0.178
O20 O 0.699 0.768 0.453
O21 O 0.707 0.700 0.001
O22 O 0.811 0.362 0.373
O23 O 0.818 0.306 0.114
O24 O 0.868 0.171 0.542
O25 O 0.957 0.277 0.885
O26 O 0.990 0.996 0.701
# M_tot = 2.00 μB/cell
# Formation energy = -1.881 eV/atom
# Electronic total energy = -5.87 eV/atom
# SG = P-1, No. 2